12
Lattice="-1.3625 -1.6492 3.8753 6.7965 -1.1184 1.9135 0.2849 6.9978 3.0782" Properties=species:S:1:pos:R:3 comment="GdGePt | the Materials Project database | PBE | optimized geometry" e_form_kj_per_mol_atoms=-107 space_group="No. 62" volume_a3_per_atom=20.17 pbc="T T T"
Gd -0.1265 4.5091 3.1385
Ge 1.2719 2.5250 5.3139
Ge 4.4470 1.7051 3.5532
Ge 4.7626 4.2388 7.2705
Pt 3.9372 2.0597 6.0529
Ge 0.9563 -0.0087 1.5966
Gd 2.4207 -0.3691 4.4861
Pt 5.0852 -0.7149 2.7476
Gd 5.8454 -0.2789 5.7285
Gd 3.2982 4.5993 4.3809
Pt 1.7817 2.1705 2.8141
Pt 0.6337 4.9450 6.1194



40
Lattice="-2.7619 -5.1432 0.3687 2.2216 1.9448 -5.3826 16.1648 4.0622 10.0010" Properties=species:S:1:pos:R:3 comment="Al2O3 | the Materials Project database | PBE | optimized geometry" energy_mp2020_ev_per_atom=-7.70 e_form_kj_per_mol_atoms=-312 magmom_total_mub_per_atom=0.00 space_group="No. 1" volume_a3_per_atom=10.98 pbc="T T T"
Al 5.1936 0.8260 3.3371
O 5.3144 -1.1380 2.9802
Al 5.4292 -0.8868 1.1292
O 9.8672 -1.5813 6.4229
Al 15.2790 3.4721 3.5212
O 7.4249 -2.1129 5.0404
Al -0.5565 -2.7640 0.2346
O 0.3587 -2.8135 -2.8317
O 9.5727 1.1967 2.0392
O 2.2317 -0.7077 -3.4664
Al 13.0383 2.8198 2.1750
O 2.7818 -2.2920 -1.2800
Al 4.2477 -2.2758 3.8073
O 2.3721 0.7529 -0.9496
O 2.5640 -1.0824 1.3697
O 11.3484 3.7389 1.8660
Al 2.0579 -0.9754 -0.3250
O 13.9140 1.3565 5.4180
Al 2.2999 -2.5258 -3.0139
Al 3.4237 0.4947 -2.6786
Al 8.3636 0.1863 2.9446
O 12.5800 0.0076 8.1464
O 13.7694 4.2731 3.0455
O 12.2694 1.7371 3.3904
Al 15.1425 2.1172 6.4498
Al 9.3575 1.4772 0.2165
O 8.5455 0.2877 4.7182
O 8.0090 2.6361 -0.1152
O 14.3260 2.4711 8.0779
O 4.5799 0.6396 1.4712
Al 11.2125 0.6454 2.4890
Al 9.2036 1.7789 5.4509
O 15.9833 3.2028 5.1403
O 4.6632 -0.3718 -1.6170
Al 12.0434 2.2298 5.1041
O 6.9632 -0.4676 0.1797
O 11.0405 0.9797 5.8307
O 6.9434 1.1741 2.7810
Al 15.0775 3.8586 8.9390
O 0.2561 -1.2552 -0.4143



10
Lattice="4.0466 0.0000 0.0000 0.0000 4.0466 0.0000 0.0000 0.0000 9.9238" Properties=species:S:1:pos:R:3 comment="ThUCu4Si4 | the Materials Project database | PBE | optimized geometry" energy_mp2020_ev_per_atom=-6.06 e_form_kj_per_mol_atoms=-37 magmom_total_mub_per_atom=0.00 space_group="No. 123" volume_a3_per_atom=16.25 pbc="T T T"
Si 0.0000 0.0000 6.1261
Cu 0.0000 2.0233 7.4269
Si 2.0233 2.0233 8.7123
Cu 0.0000 2.0233 2.4970
Cu 2.0233 0.0000 2.4970
Th 0.0000 0.0000 0.0000
Cu 2.0233 0.0000 7.4269
Si 0.0000 0.0000 3.7977
Si 2.0233 2.0233 1.2115
U 2.0233 2.0233 4.9619



20
Lattice="2.9468 4.9904 0.0000 -2.9468 4.9904 0.0000 0.0000 3.2880 9.5949" Properties=species:S:1:pos:R:3 comment="ScBiO3 | the Materials Project database | PBE | optimized geometry" energy_mp2020_ev_per_atom=-7.78 e_form_kj_per_mol_atoms=-267 magmom_total_mub_per_atom=0.00 space_group="No. 15" volume_a3_per_atom=14.11 pbc="T T T"
O -0.1713 1.9965 1.5690
Bi 1.8861 4.0966 1.2794
Bi -1.8861 9.1723 8.3154
O 0.1713 11.2723 8.0258
O -1.8408 7.1749 4.0174
O -0.1713 9.6283 3.2284
Sc -1.4707 5.8124 2.3987
Bi -1.8861 5.7406 6.0769
O -0.1741 4.6109 3.4921
Bi 1.8861 7.5283 3.5180
O -1.8408 4.4499 0.7800
O -0.1741 7.0139 1.3054
O 0.1741 6.2549 8.2895
O 0.1713 3.6405 6.3665
O 1.8408 6.0939 5.5774
Sc 1.4734 4.1392 4.7974
Sc -1.4734 2.4952 0.0000
O 0.1741 8.6579 6.1028
Sc 1.4707 7.4564 7.1961
O 1.8408 8.8189 8.8149



18
Lattice="-4.6202 5.7784 3.9560 -1.7733 -3.4687 7.4303 5.5485 2.6888 2.6099" Properties=species:S:1:pos:R:3 comment="Sr3Ga2P4 | the Materials Project database | PBE | optimized geometry" e_form_kj_per_mol_atoms=-84 space_group="No. 15" volume_a3_per_atom=25.35 pbc="T T T"
Sr -3.2499 4.4071 3.1034
P -1.3859 -2.0498 5.5282
Sr 0.6803 4.0950 7.3036
P 1.2356 1.5731 5.6820
P 0.5409 7.0484 8.4680
P -2.0080 1.7533 3.8042
Sr -2.4825 6.1108 7.0090
P -2.0806 3.4255 8.3142
Ga -0.9231 2.0754 9.9526
Sr 2.4049 0.5914 10.8928
P 1.1630 3.2453 10.1920
Sr -1.5253 0.9036 6.6926
P -0.3899 -0.2836 9.4128
Ga -4.3847 2.9639 7.8087
Ga 3.5398 2.0347 6.1875
Ga 0.0781 2.9232 4.0436
P -0.4551 5.2822 4.5834
Sr 1.6375 -1.1123 6.9872



13
Lattice="0.0000 5.7763 5.8504 2.3852 0.0000 5.8504 2.3852 5.7763 0.0000" Properties=species:S:1:pos:R:3 comment="LuFe10Si2 | the Materials Project database | PBE | optimized geometry" energy_mp2020_ev_per_atom=-7.88 e_form_kj_per_mol_atoms=-18 e_above_lowest_polymorph_mev_per_atom=67 magmom_total_mub_per_atom=1.47 space_group="No. 69" volume_a3_per_atom=12.40 pbc="T T T"
Fe 2.3852 9.4646 7.9287
Fe 1.1926 5.7763 2.9252
Fe 2.3852 7.0494 7.1274
Fe 2.3852 9.4646 3.7720
Fe 2.3852 4.5033 4.5734
Si 1.1926 2.8882 0.0000
Fe 1.1926 0.0000 2.9252
Fe 2.3852 7.0494 4.5734
Fe 2.3852 2.0880 3.7720
Fe 2.3852 2.0880 7.9287
Fe 2.3852 4.5033 7.1274
Lu 0.0000 0.0000 0.0000
Si 1.1926 2.8882 5.8504



8
Lattice="2.9094 -5.0391 0.0000 2.9094 5.0391 0.0000 0.0000 0.0000 10.3259" Properties=species:S:1:pos:R:3 comment="RbBi3 | the Materials Project database | PBE | optimized geometry" e_form_kj_per_mol_atoms=23 magmom_total_mub_per_atom=0.00 space_group="No. 194" volume_a3_per_atom=37.85 pbc="T T T"
Bi 0.0000 0.0000 2.5815
Bi 2.9094 1.6797 6.1632
Rb 2.9094 1.6797 2.5815
Bi 0.0000 0.0000 7.7444
Rb 2.9094 -1.6797 7.7444
Bi 2.9094 1.6797 9.3256
Bi 2.9094 -1.6797 4.1627
Bi 2.9094 -1.6797 1.0003



24
Lattice="2.8059 0.2038 0.2742 0.5229 11.6520 0.1869 0.2654 -0.0449 11.7512" Properties=species:S:1:pos:R:3 comment="SiO2 | the Materials Project database | PBE | optimized geometry" energy_mp2020_ev_per_atom=-8.25 e_form_kj_per_mol_atoms=-303 magmom_total_mub_per_atom=0.00 space_group="No. 1" volume_a3_per_atom=15.92 pbc="T T T"
O 2.6509 11.1309 8.5609
Si 2.0624 8.2603 2.4018
O 0.6675 7.4285 2.7251
Si 0.9988 2.2674 3.5030
O 1.4846 8.9372 7.6225
Si 1.6971 10.8071 4.2269
O 1.8973 2.0262 8.9674
Si 2.6705 7.7209 11.0629
O 1.1072 2.8406 1.9853
Si 2.0844 0.9741 7.7478
O 0.7487 1.0807 6.7692
O 3.0332 10.6979 5.2046
O 2.4482 5.0066 1.2503
O 1.8923 9.7607 3.0042
O 2.6845 8.9374 9.9898
O 1.5865 3.3850 11.1866
Si 1.1257 4.0616 0.9170
Si 2.7834 9.5140 8.4728
O 1.1249 0.6507 3.4165
O 2.2976 2.8446 4.3530
O 2.2138 8.4045 0.7903
Si 1.7358 3.5266 9.5743
O 1.3476 6.7745 10.7350
O 3.1305 4.3587 9.2513